A relaxed structure of Na2Y3Nb5P12O48. Source: the Materials Project database, functional PBE-GGA.

Geometry as POSCAR:
```
Na2Y3Nb5P12O48
1.0
17.839 -0.003 -0.006
-4.461 7.732 0.002
-0.007 0.003 23.201
O P Y Nb Na
144 36 9 15 6
Direct
0.846 0.538 0.244
0.821 0.119 0.138
0.428 0.508 0.433
0.251 0.874 0.362
0.400 0.826 0.197
0.896 0.979 0.422
0.741 0.103 0.637
0.163 0.462 0.470
0.914 0.805 0.591
0.502 0.180 0.194
0.236 0.307 0.030
0.099 0.172 0.091
0.101 0.204 0.407
0.552 0.620 0.364
0.690 0.484 0.364
0.088 0.975 0.195
0.479 0.802 0.093
0.283 0.863 0.468
0.266 0.692 0.969
0.411 0.996 0.804
0.420 0.529 0.031
0.583 0.453 0.249
0.091 0.176 0.806
0.325 0.521 0.639
0.565 0.499 0.862
0.227 0.288 0.751
0.588 0.713 0.763
0.751 0.146 0.922
0.416 0.817 0.307
0.349 0.165 0.029
0.846 0.152 0.752
0.902 0.800 0.302
0.584 0.990 0.195
0.917 0.547 0.751
0.904 0.815 0.899
0.915 0.014 0.807
0.070 0.478 0.579
0.426 0.357 0.921
0.425 0.546 0.752
0.920 0.309 0.532
0.990 0.187 0.305
0.927 0.346 0.932
0.263 0.663 0.580
0.733 0.164 0.531
0.762 0.861 0.075
0.423 0.807 0.594
0.146 0.821 0.260
0.439 0.517 0.138
0.171 0.866 0.579
0.066 0.627 0.362
0.756 0.897 0.365
0.233 0.163 0.530
0.273 0.832 0.748
0.516 0.833 0.697
0.083 0.713 0.749
0.592 0.993 0.899
0.979 0.158 0.594
0.570 0.662 0.076
0.670 0.855 0.567
0.684 0.869 0.862
0.188 0.505 0.362
0.591 0.005 0.306
0.191 0.898 0.864
0.009 0.192 0.909
0.411 0.990 0.694
0.768 0.826 0.763
0.747 0.350 0.433
0.595 0.155 0.091
0.910 0.831 0.193
0.733 0.304 0.029
0.589 0.172 0.805
0.323 0.150 0.422
0.091 0.472 0.259
0.489 0.169 0.591
0.948 0.518 0.134
0.016 0.199 0.196
0.899 0.973 0.697
0.358 0.163 0.751
0.143 0.453 0.749
0.414 0.022 0.090
0.346 0.531 0.532
0.647 0.858 0.968
0.641 0.831 0.249
0.259 0.372 0.424
0.310 0.107 0.134
0.242 0.382 0.136
0.727 0.305 0.753
0.418 0.288 0.251
0.070 0.654 0.063
0.233 0.141 0.245
0.155 0.841 0.969
0.256 0.859 0.064
0.816 0.140 0.434
0.781 0.704 0.967
0.509 0.826 0.409
0.727 0.162 0.250
0.923 0.038 0.092
0.080 0.468 0.969
0.756 0.654 0.565
0.822 0.496 0.921
0.669 0.476 0.075
0.845 0.162 0.030
0.001 0.796 0.407
0.002 0.824 0.694
0.850 0.535 0.530
0.447 0.375 0.636
0.569 0.483 0.566
0.588 0.202 0.696
0.503 0.193 0.899
0.917 0.533 0.028
0.644 0.464 0.762
0.930 0.327 0.245
0.270 0.712 0.263
0.247 0.147 0.932
0.096 0.037 0.592
0.084 0.178 0.695
0.052 0.484 0.864
0.500 0.175 0.304
0.000 0.824 0.804
0.348 0.541 0.252
0.927 0.479 0.423
0.404 0.995 0.399
0.588 0.194 0.409
0.088 0.982 0.909
0.070 0.675 0.470
0.750 0.631 0.862
0.754 0.837 0.471
0.258 0.619 0.863
0.242 0.131 0.638
0.653 0.468 0.470
0.417 0.298 0.529
0.936 0.357 0.639
0.990 0.810 0.089
0.598 0.026 0.593
0.403 0.825 0.909
0.767 0.709 0.243
0.495 0.817 0.806
0.099 0.016 0.304
0.578 0.690 0.470
0.571 0.438 0.968
0.327 0.509 0.932
0.173 0.488 0.064
0.739 0.355 0.136
0.810 0.514 0.635
0.813 0.660 0.914
0.479 0.332 0.581
0.637 0.283 0.753
0.980 0.629 0.081
0.518 0.377 0.914
0.173 0.384 0.416
0.004 0.292 0.251
0.837 0.041 0.085
0.333 0.040 0.082
0.978 0.332 0.586
0.669 0.377 0.418
0.684 0.327 0.084
0.141 0.992 0.252
0.019 0.374 0.918
0.639 0.998 0.250
0.807 0.960 0.420
0.501 0.280 0.250
0.187 0.047 0.585
0.019 0.651 0.416
0.139 0.279 0.749
0.832 0.625 0.582
0.170 0.963 0.918
0.854 0.716 0.248
0.312 0.663 0.918
0.000 0.722 0.749
0.519 0.663 0.417
0.504 0.725 0.753
0.187 0.335 0.082
0.688 0.040 0.582
0.479 0.628 0.086
0.336 0.626 0.586
0.859 0.996 0.753
0.361 0.996 0.749
0.669 0.963 0.914
0.359 0.722 0.254
0.312 0.965 0.413
0.331 0.331 0.189
0.835 0.334 0.188
0.166 0.667 0.811
0.171 0.673 0.519
0.994 0.996 0.360
0.829 0.331 0.689
0.669 0.668 0.311
0.338 0.335 0.691
0.667 0.668 0.016
0.837 0.337 0.482
0.664 0.666 0.519
0.831 0.328 0.983
0.503 0.004 0.357
0.668 0.667 0.810
0.498 0.998 0.144
0.166 0.666 0.019
0.165 0.665 0.310
0.336 0.338 0.983
0.330 0.334 0.481
0.502 0.003 0.641
0.998 0.998 0.642
0.003 0.002 0.857
0.003 0.002 0.146
0.497 0.997 0.857
0.332 0.330 0.830
0.668 0.666 0.167
0.835 0.338 0.328
0.332 0.328 0.330
0.166 0.665 0.665
0.835 0.337 0.831
```

Properties
Total magnetization ... 0.000 μB/atom
Formation energy ... -289 kJ per mole of atoms
Mass density ... 3.0 g/cm³